Entry A
## Fe2C2O7 (PBE+U)

Data for Fe2C2O7 after structural relaxation.

a b c (Å): 4.963 4.963 16.013
angles (deg): 90.31 90.31 120.13
Atoms (fractional coordinates):
Fe 0.163 0.835 0.864
Fe 0.165 0.837 0.636
Fe 0.835 0.163 0.364
Fe 0.837 0.165 0.136
C 0.168 0.832 0.096
C 0.168 0.832 0.404
C 0.832 0.168 0.596
C 0.832 0.168 0.904
O 0.086 0.156 0.594
O 0.087 0.434 0.902
O 0.156 0.086 0.094
O 0.156 0.568 0.405
O 0.163 0.837 0.750
O 0.432 0.844 0.095
O 0.434 0.087 0.402
O 0.566 0.913 0.598
O 0.568 0.156 0.905
O 0.837 0.163 0.250
O 0.844 0.432 0.595
O 0.844 0.914 0.906
O 0.913 0.566 0.098
O 0.914 0.844 0.406

***

Entry B
## Fe2C2O7 (PBE+U)

Data for Fe2C2O7 after structural relaxation.

a b c (Å): 4.953 4.961 16.013
angles (deg): 89.70 89.38 60.10
Atoms (fractional coordinates):
Fe 0.164 0.171 0.136
Fe 0.166 0.171 0.364
Fe 0.834 0.829 0.636
Fe 0.836 0.829 0.864
C 0.167 0.165 0.904
C 0.168 0.165 0.596
C 0.832 0.835 0.404
C 0.833 0.835 0.096
O 0.087 0.569 0.406
O 0.088 0.846 0.098
O 0.156 0.431 0.906
O 0.156 0.911 0.596
O 0.164 0.175 0.250
O 0.433 0.911 0.905
O 0.434 0.154 0.597
O 0.566 0.846 0.403
O 0.567 0.089 0.095
O 0.836 0.825 0.750
O 0.844 0.089 0.404
O 0.844 0.569 0.094
O 0.912 0.154 0.902
O 0.913 0.431 0.594

***

Most stable to least stable, the ends of the list are entry B and entry A.

***

Entry A
## CaMo2O4 (PBE+U)

Data for CaMo2O4 after structural relaxation.

a b c (Å): 6.506 6.506 6.506
angles (deg): 121.31 118.38 90.28
Atoms (fractional coordinates):
Ca 0.000 0.000 0.000
Ca 0.500 0.000 0.500
Mo 0.000 0.000 0.500
Mo 0.000 0.500 0.000
Mo 0.390 0.640 0.750
Mo 0.610 0.360 0.250
O 0.217 0.744 0.473
O 0.229 0.256 0.973
O 0.236 0.239 0.503
O 0.236 0.733 0.997
O 0.764 0.267 0.003
O 0.764 0.761 0.497
O 0.771 0.744 0.027
O 0.783 0.256 0.527

***

Entry B
## CaMo2O4 (PBE+U)

Data for CaMo2O4 after structural relaxation.

a b c (Å): 6.443 6.537 16.139
angles (deg): 91.25 91.86 119.35
Atoms (fractional coordinates):
Ca 0.000 0.000 0.000
Ca 0.000 0.494 0.878
Ca 0.001 0.482 0.501
Ca 0.348 0.638 0.333
Ca 0.646 0.312 0.665
Ca 0.669 0.816 0.163
Mo 0.009 0.511 0.129
Mo 0.139 0.800 0.668
Mo 0.148 0.310 0.669
Mo 0.323 0.148 0.837
Mo 0.332 0.119 0.204
Mo 0.358 0.131 0.461
Mo 0.499 0.489 0.998
Mo 0.501 0.995 0.000
Mo 0.644 0.831 0.533
Mo 0.645 0.809 0.789
Mo 0.844 0.648 0.330
Mo 0.855 0.156 0.333
O 0.006 0.491 0.739
O 0.010 0.978 0.258
O 0.157 0.790 0.413
O 0.177 0.317 0.416
O 0.190 0.308 0.917
O 0.197 0.869 0.916
O 0.277 0.114 0.597
O 0.315 0.637 0.607
O 0.344 0.671 0.064
O 0.367 0.181 0.078
O 0.468 0.465 0.760
O 0.468 0.973 0.756
O 0.523 0.988 0.256
O 0.531 0.495 0.245
O 0.623 0.297 0.923
O 0.634 0.804 0.915
O 0.690 0.328 0.399
O 0.717 0.842 0.404
O 0.819 0.150 0.083
O 0.822 0.641 0.589
O 0.832 0.662 0.068
O 0.838 0.165 0.591
O 0.980 0.455 0.257
O 0.987 0.980 0.752

***

Most stable to least stable, the ends of the list are entry B and entry A.

***

Entry A
## YMg6VO8 (PBE+U)

Data for YMg6VO8 after structural relaxation.

a b c (Å): 4.428 4.428 8.832
angles (deg): 90.00 90.00 90.00
Atoms (fractional coordinates):
Y 0.000 0.000 0.000
Mg 0.000 0.000 0.500
Mg 0.000 0.500 0.263
Mg 0.000 0.500 0.737
Mg 0.500 0.000 0.263
Mg 0.500 0.000 0.737
Mg 0.500 0.500 0.500
V 0.500 0.500 0.000
O 0.000 0.000 0.263
O 0.000 0.000 0.737
O 0.000 0.500 0.000
O 0.000 0.500 0.500
O 0.500 0.000 0.000
O 0.500 0.000 0.500
O 0.500 0.500 0.258
O 0.500 0.500 0.742

***

Entry B
## YMg6VO8 (PBE+U)

Data for YMg6VO8 after structural relaxation.

a b c (Å): 4.467 4.467 8.857
angles (deg): 90.00 90.00 90.00
Atoms (fractional coordinates):
Y 0.000 0.000 0.000
Mg 0.000 0.500 0.263
Mg 0.000 0.500 0.737
Mg 0.500 0.000 0.263
Mg 0.500 0.000 0.737
Mg 0.500 0.500 0.000
Mg 0.500 0.500 0.500
V 0.000 0.000 0.500
O 0.000 0.000 0.256
O 0.000 0.000 0.744
O 0.000 0.500 0.000
O 0.000 0.500 0.500
O 0.500 0.000 0.000
O 0.500 0.000 0.500
O 0.500 0.500 0.252
O 0.500 0.500 0.748

***

Most stable to least stable, the ends of the list are entry A and entry B.